# 1
MgAlAu2: relaxed, meta-GGA r2SCAN.

a b c (Å): 4.553 4.553 4.553
angles (deg): 60.00 60.00 60.00
Atoms (fractional coordinates):
Mg 0.000 0.000 0.000
Au 0.250 0.250 0.250
Au 0.750 0.750 0.750
Al 0.500 0.500 0.500

Values from the calculation:
* total magnetization: 0.00 μB/f.u.
* calculated volume: 16.68 Å³ per atom
* space group: No. 225
* calculated formation energy: -0.499 eV/atom

# 2
MnAlAu2: relaxed, meta-GGA r2SCAN.

a b c (Å): 4.500 4.500 4.500
angles (deg): 60.00 60.00 60.00
Atoms (fractional coordinates):
Mn 0.500 0.500 0.500
Au 0.250 0.250 0.250
Au 0.750 0.750 0.750
Al 0.000 0.000 0.000

Values from the calculation:
* total magnetization: 4.15 μB/f.u.
* calculated volume: 16.11 Å³ per atom
* space group: No. 225
* calculated formation energy: -0.420 eV/atom